# 1
CaSi | PBE-GGA | relaxed

Cell and atoms, written as CIF:
```
data_CaSi
_chemical_formula_sum 'Ca12 Si12'
_cell_length_a 14.726
_cell_length_b 3.829
_cell_length_c 10.980
_cell_angle_alpha 90.00
_cell_angle_beta 90.00
_cell_angle_gamma 90.00
_space_group_name_H-M_alt 'P n m a'
_space_group_IT_number 62
_space_group_name_Hall '-P 2ac 2n'
loop_
_atom_site_label
_atom_site_fract_x
_atom_site_fract_y
_atom_site_fract_z
_atom_site_occupancy
Ca1 0.111 0.250 0.018 1
Ca2 0.150 0.250 0.643 1
Ca3 0.178 0.250 0.336 1
Si1 0.034 0.750 0.236 1
Si2 0.043 0.750 0.468 1
Si3 0.058 0.750 0.817 1
```

Output
spin magnetization: 0.0041 μB per atom
total energy: -95.9 eV/cell
DFT formation energy: -0.25 eV/atom
E (MP2020): -95.10 eV/cell

# 2
CaSmZn2 | PBE-GGA | relaxed

Cell and atoms, written as CIF:
```
data_CaSmZn2
_chemical_formula_sum 'Ca4 Sm4 Zn8'
_cell_length_a 7.318
_cell_length_b 7.318
_cell_length_c 7.318
_cell_angle_alpha 90.00
_cell_angle_beta 90.00
_cell_angle_gamma 90.00
_space_group_name_H-M_alt 'F m -3 m'
_space_group_IT_number 225
_space_group_name_Hall '-F 4 2 3'
loop_
_atom_site_label
_atom_site_fract_x
_atom_site_fract_y
_atom_site_fract_z
_atom_site_occupancy
Ca1 0.000 0.000 0.000 1
Sm1 0.000 0.000 0.500 1
Zn1 0.250 0.250 0.250 1
```

Output
total energy: -41.9 eV/cell
DFT formation energy: -0.31 eV/atom

> The lowest DFT formation energy belongs to which entry?

CaSmZn2